## V2Re2O11 (GGA+U)

Data for a relaxed structure of V2Re2O11.

POSCAR file:
```
V2Re2O11
1.0
3.503 -6.812 0.000
3.503 6.812 0.000
0.000 0.000 9.096
O V Re
22 4 4
Direct
0.747 0.253 0.401
0.253 0.747 0.901
0.116 0.884 0.427
0.829 0.171 0.656
0.343 0.657 0.332
0.581 0.419 0.547
0.017 0.428 0.145
0.884 0.116 0.927
0.161 0.272 0.467
0.428 0.017 0.645
0.728 0.839 0.467
0.983 0.572 0.645
0.377 0.623 0.668
0.963 0.037 0.201
0.171 0.829 0.156
0.657 0.343 0.832
0.419 0.581 0.047
0.572 0.983 0.145
0.623 0.377 0.168
0.272 0.161 0.967
0.839 0.728 0.967
0.037 0.963 0.701
0.253 0.747 0.718
0.747 0.253 0.218
0.446 0.554 0.490
0.554 0.446 0.990
0.702 0.298 0.647
0.995 0.005 0.016
0.005 0.995 0.516
0.298 0.702 0.147
```

**Formation enthalpy at 0 K**: -2131 meV/atom
**Space group**: No. 36
**Distance to the lowest polymorph of the same formula**: 0 meV/atom